[1]
Below is a relaxed structure of CeSmMg2, with properties calculated at the GGA-PBE level.

Cell lengths 5.422, 5.422, 5.422 Å; angles 60.00, 60.00, 60.00 degrees
Fractional coordinates of all 4 atoms:
Ce 0.500 0.500 0.500
Sm 0.000 0.000 0.000
Mg 0.250 0.250 0.250
Mg 0.750 0.750 0.750

Calculated values
- E_form (eV per atom) = -0.01
- SG = Fm-3m



[2]
Below is a relaxed structure of La6Co13Sn, with properties calculated at the GGA-PBE level.

Cell lengths 8.058, 8.058, 12.847 Å; angles 108.28, 108.28, 90.00 degrees
Fractional coordinates of all 40 atoms:
Co 0.065 0.214 0.000
Co 0.475 0.975 0.177
Co 0.267 0.120 0.888
Co 0.565 0.286 0.000
Co 0.620 0.767 0.888
Co 0.202 0.475 0.177
Co 0.798 0.525 0.823
Co 0.380 0.233 0.112
Co 0.767 0.267 0.888
Co 0.500 0.000 0.000
Co 0.000 0.500 0.000
Co 0.702 0.202 0.177
Co 0.935 0.786 0.000
Co 0.880 0.380 0.112
Co 0.525 0.025 0.823
Co 0.435 0.714 0.000
Co 0.733 0.880 0.112
Co 0.120 0.620 0.888
Co 0.714 0.565 0.000
Co 0.214 0.935 0.000
Co 0.975 0.702 0.177
Co 0.233 0.733 0.112
Co 0.286 0.435 0.000
Co 0.025 0.298 0.823
Co 0.786 0.065 0.000
Co 0.298 0.798 0.823
La 0.600 0.600 0.201
La 0.981 0.481 0.638
La 0.400 0.400 0.799
La 0.157 0.981 0.638
La 0.657 0.157 0.638
La 0.019 0.519 0.362
La 0.519 0.343 0.362
La 0.481 0.657 0.638
La 0.843 0.019 0.362
La 0.343 0.843 0.362
La 0.900 0.900 0.799
La 0.100 0.100 0.201
Sn 0.250 0.250 0.500
Sn 0.750 0.750 0.500

Calculated values
- E_form (eV per atom) = -0.16
- SG = I4/mcm



[3]
Below is a relaxed structure of Ce5Mg, with properties calculated at the GGA-PBE level.

Cell lengths 5.786, 5.786, 5.498 Å; angles 90.00, 90.00, 120.00 degrees
Fractional coordinates of all 6 atoms:
Ce 0.667 0.333 0.500
Ce 0.654 0.654 0.000
Ce 0.346 0.000 0.000
Ce 0.333 0.667 0.500
Ce 0.000 0.346 0.000
Mg 0.000 0.000 0.500

Calculated values
- ΔE to the lowest computed polymorph (eV/atom) = 0.0183
- E_form (eV per atom) = 0.09
- SG = P-62m



[4]
Below is a relaxed structure of MgTi2Se4O12, with properties calculated at the GGA-PBE level.

Cell lengths 4.940, 6.788, 8.740 Å; angles 89.87, 87.10, 111.32 degrees
Fractional coordinates of all 19 atoms:
O 0.074 0.716 0.955
O 0.665 0.282 0.557
O 0.817 0.634 0.323
O 0.184 0.051 0.134
O 0.750 0.249 0.068
O 0.490 0.779 0.150
O 0.090 0.363 0.340
O 0.940 0.700 0.661
O 0.718 0.907 0.849
O 0.394 0.764 0.453
O 0.384 0.167 0.826
O 0.233 0.410 0.649
Mg 0.049 0.534 0.143
Se 0.682 0.842 0.318
Se 0.381 0.296 0.227
Se 0.773 0.671 0.845
Se 0.317 0.180 0.638
Ti 0.484 0.021 0.995
Ti 0.032 0.517 0.510

Calculated values
- E_form (eV per atom) = -2.02
- SG = P1